Entry 1:
# BaIrO3 (PBE, optimized geometry)
# **VASP energy**: -6.588 eV/atom
# **Size of the total moment**: 0.00 μB/atom
data_BaIrO3
_chemical_formula_sum 'Ba1 Ir1 O3'
_cell_length_a 4.0773
_cell_length_b 4.0773
_cell_length_c 4.0773
_cell_angle_alpha 90.00
_cell_angle_beta 90.00
_cell_angle_gamma 90.00
_space_group_name_H-M_alt 'P m -3 m'
_space_group_IT_number 221
_space_group_name_Hall '-P 4 2 3'
loop_
_atom_site_label
_atom_site_type_symbol
_atom_site_fract_x
_atom_site_fract_y
_atom_site_fract_z
Ba1 Ba 0.0000 0.0000 0.0000
Ir1 Ir 0.5000 0.5000 0.5000
O1 O 0.0000 0.5000 0.5000


Entry 2:
# MgZn5 (PBE, optimized geometry)
# **VASP energy**: -1.359 eV/atom
# **Size of the total moment**: 0.00 μB/atom
data_MgZn5
_chemical_formula_sum 'Mg8 Zn40'
_cell_length_a 19.0739
_cell_length_b 5.0423
_cell_length_c 8.8524
_cell_angle_alpha 90.00
_cell_angle_beta 112.85
_cell_angle_gamma 90.00
_space_group_name_H-M_alt 'C 1 2/m 1'
_space_group_IT_number 12
loop_
_space_group_symop_operation_xyz
'x,y,z'
'-x,-y,-z'
'-x,y,-z'
'x,-y,z'
'x+1/2,y+1/2,z'
'-x+1/2,-y+1/2,-z'
'-x+1/2,y+1/2,-z'
'x+1/2,-y+1/2,z'
loop_
_atom_site_label
_atom_site_type_symbol
_atom_site_fract_x
_atom_site_fract_y
_atom_site_fract_z
Mg1 Mg 0.0335 0.0000 0.2021
Mg2 Mg 0.2191 0.0000 0.3736
Zn1 Zn 0.0000 0.0000 0.5000
Zn2 Zn 0.0000 0.5000 0.0000
Zn3 Zn 0.0353 0.5000 0.7046
Zn4 Zn 0.1120 0.0000 0.7790
Zn5 Zn 0.1231 0.5000 0.2881
Zn6 Zn 0.1280 0.2529 0.5403
Zn7 Zn 0.1304 0.2466 0.0382
Zn8 Zn 0.2108 0.5000 0.8745
Zn9 Zn 0.2468 0.0000 0.7645


Entry 3:
# Na3AlH6 (PBE, optimized geometry)
# **VASP energy**: -2.977 eV/atom
data_Na3AlH6
_chemical_formula_sum 'Na6 Al2 H12'
_cell_length_a 5.3458
_cell_length_b 5.5431
_cell_length_c 9.3796
_cell_angle_alpha 90.00
_cell_angle_beta 124.72
_cell_angle_gamma 90.00
_space_group_name_H-M_alt 'P 1 21/c 1'
_space_group_IT_number 14
loop_
_space_group_symop_operation_xyz
'x,y,z'
'-x,-y,-z'
'-x,y+1/2,-z+1/2'
'x,-y+1/2,z+1/2'
loop_
_atom_site_label
_atom_site_type_symbol
_atom_site_fract_x
_atom_site_fract_y
_atom_site_fract_z
Na1 Na 0.0000 0.0000 0.0000
Na2 Na 0.2568 0.0469 0.7461
Al1 Al 0.5000 0.0000 0.5000
H1 H 0.1838 0.0479 0.2838
H2 H 0.2719 0.6692 0.0436
H3 H 0.4031 0.2329 0.0636


Entry 4:
# Mg3Si2 (PBE, optimized geometry)
# **VASP energy**: -3.147 eV/atom
# **Size of the total moment**: 0.00 μB/atom
data_Mg3Si2
_chemical_formula_sum 'Mg3 Si2'
_cell_length_a 4.2797
_cell_length_b 5.2401
_cell_length_c 5.3730
_cell_angle_alpha 97.74
_cell_angle_beta 111.48
_cell_angle_gamma 113.39
_space_group_name_H-M_alt 'P -1'
_space_group_IT_number 2
loop_
_space_group_symop_operation_xyz
'x,y,z'
'-x,-y,-z'
loop_
_atom_site_label
_atom_site_type_symbol
_atom_site_fract_x
_atom_site_fract_y
_atom_site_fract_z
Mg1 Mg 0.0000 0.0000 0.0000
Mg2 Mg 0.4977 0.7062 0.2926
Si1 Si 0.2213 0.7056 0.7095


> Which of these has the highest VASP energy?

MgZn5


> The lowest VASP energy belongs to which entry?

BaIrO3


> Which value of VASP energy does entry 1 give?

-6.588 eV/atom